VASP calculation (r2SCAN) on crystalline Fe2P3O9F3 at its relaxed geometry.

Cell lengths 14.3882, 14.3882, 7.3697 Å; angles 90.00, 90.00, 120.00 degrees
With the nearest neighbours (Å) after each atom.
Space group P6_3/m (No. 176)
Inequivalent atoms, fractional coordinates:
Fe1 0.0267 0.6742 0.0481 (multiplicity 12)  6 O 1.91-2.12
P1 0.1066 0.5635 0.7500 (multiplicity 6)  3 O 1.51-1.53, 1 F 1.54
P2 0.1143 0.8717 0.7500 (multiplicity 6)  3 O 1.50-1.52, 1 F 1.54
P3 0.1713 0.4356 0.2500 (multiplicity 6)  3 O 1.50-1.53, 1 F 1.53
O1 0.0184 0.4455 0.7500 (multiplicity 6)  1 P 1.53
O2 0.0508 0.2858 0.7500 (multiplicity 6)  1 P 1.52
O3 0.0767 0.8069 0.5779 (multiplicity 12)  1 P 1.50
O4 0.1065 0.4061 0.0780 (multiplicity 12)  1 P 1.50
O5 0.1064 0.6204 0.5785 (multiplicity 12)  1 P 1.51
O6 0.1440 0.7481 0.2500 (multiplicity 6)  1 P 1.53
F1 0.0566 0.1198 0.7500 (multiplicity 6)  1 P 1.54
F2 0.2137 0.5632 0.7500 (multiplicity 6)  1 P 1.54
F3 0.2380 0.5587 0.2500 (multiplicity 6)  1 P 1.53

Density = 3.06 g cm⁻³
Calculated formation energy = -2.33 eV/atom